--- w ---
# SmEr3

A relaxed SmEr3 crystal (PBE, the Materials Project database).

```
8
Lattice="3.603 -6.240 0.000 3.603 6.240 0.000 0.000 0.000 5.642" Properties=species:S:1:pos:R:3 pbc="T T T"
Sm 3.603 2.080 4.232
Sm 3.603 -2.080 1.411
Er 1.788 1.032 1.411
Er 5.418 1.032 1.411
Er 3.603 4.176 1.411
Er 5.418 -1.032 4.232
Er 1.788 -1.032 4.232
Er 3.603 -4.176 4.232
```

--- x ---
# SmEr3

A relaxed SmEr3 crystal (PBE, the Materials Project database).

```
4
Lattice="-2.503 2.503 4.987 2.503 -2.503 4.987 2.503 2.503 -4.987" Properties=species:S:1:pos:R:3 pbc="T T T"
Sm 0.000 0.000 0.000
Er 0.000 2.503 2.494
Er 2.503 0.000 2.494
Er 0.000 0.000 4.987
```

Computed stability ranking, most favorable first: w, x